Record 1
PBE KRbO, relaxed; space-group type = No. 139; total moment = 0.00 μB/cell
1.0
-5.982 5.982 2.875
5.982 -5.982 2.875
5.982 5.982 -2.875
K Rb O
4 4 4
Cartesian
1.971 1.971 0.000
9.992 1.971 0.000
-4.011 4.011 2.875
4.011 4.011 2.875
5.982 1.743 0.000
1.743 5.982 0.000
4.239 0.000 2.875
0.000 4.239 2.875
3.589 0.000 0.000
8.374 0.000 0.000
0.000 3.589 0.000
0.000 8.374 0.000


Record 2
PBE KReO2, relaxed; space-group type = No. 141; total moment = 0.42 μB/cell
1.0
-3.152 3.152 6.537
3.152 -3.152 6.537
3.152 3.152 -6.537
K Re O
4 4 8
Cartesian
0.000 0.000 0.000
1.576 1.576 -3.268
1.576 -1.576 3.268
0.000 3.152 0.000
3.152 0.000 0.000
-1.576 1.576 3.268
0.000 0.000 6.537
1.576 1.576 3.268
1.975 1.576 -0.385
4.328 1.576 -0.385
0.000 0.399 2.883
3.152 0.399 3.654
0.000 2.753 2.883
3.152 2.753 3.654
-1.177 1.576 6.922
1.177 1.576 6.922


Record 3
PBE KReO3, relaxed; space-group type = No. 221; total moment = 0.00 μB/cell
1.0
3.939 0.000 0.000
0.000 3.939 0.000
0.000 0.000 3.939
K Re O
1 1 3
Cartesian
0.000 0.000 0.000
1.970 1.970 1.970
0.000 1.970 1.970
1.970 0.000 1.970
1.970 1.970 0.000


Record 4
PBE KRe3S4O4, relaxed; space-group type = No. 2; total moment = 1.70 μB/cell
1.0
8.406 0.000 0.000
3.401 8.308 0.000
4.078 -0.032 8.486
K Re S O
2 6 8 8
Cartesian
3.819 0.330 3.602
12.066 7.946 4.884
3.501 5.829 0.360
6.262 4.118 6.047
3.346 2.320 0.360
12.539 5.956 8.126
9.623 4.157 2.439
12.384 2.446 8.126
6.198 6.331 6.966
3.557 4.060 1.966
5.996 1.905 6.938
8.247 4.010 7.390
7.638 4.266 1.095
9.889 6.371 1.548
12.329 4.216 6.519
9.687 1.945 1.520
5.451 6.812 3.426
4.732 6.983 0.583
6.528 4.097 4.363
4.491 1.120 0.791
11.394 7.156 7.694
9.357 4.179 4.123
11.153 1.292 7.903
10.434 1.464 5.060


Record 5
PBE K2Re3S4O7, relaxed; space-group type = No. 2; total moment = 6.00 μB/cell
1.0
8.082 0.000 0.000
3.283 8.628 0.000
2.575 0.600 9.608
K Re S O
4 6 8 14
Cartesian
2.934 3.041 0.870
3.963 0.884 7.717
9.978 8.344 1.892
11.006 6.186 8.738
5.443 6.072 5.166
5.860 3.114 3.853
6.633 3.385 6.442
7.308 5.842 3.166
8.081 6.113 5.756
8.498 3.156 4.442
4.445 3.815 5.634
5.016 5.298 2.970
6.354 5.653 7.338
6.960 7.892 4.501
6.981 1.336 5.108
7.586 3.574 2.270
8.924 3.930 6.639
9.496 5.412 3.975
3.490 3.384 8.678
4.238 7.282 5.579
4.889 8.625 1.169
4.711 7.484 0.655
6.278 2.345 7.848
5.044 1.846 2.902
8.234 5.482 9.312
5.707 3.746 0.297
8.896 7.382 6.706
7.663 6.883 1.761
9.229 1.744 8.953
9.051 0.603 8.440
9.703 1.945 4.030
10.450 5.843 0.930


Record 6
PBE K4Re6Se8O11, relaxed; space-group type = No. 1; total moment = 0.00 μB/cell
1.0
8.331 0.000 0.000
-3.090 8.336 0.000
-2.691 -1.027 9.170
K Re Se O
4 6 8 11
Cartesian
0.000 0.000 0.000
-3.168 4.689 6.902
-0.057 0.678 6.673
5.322 3.750 0.284
-0.265 6.766 2.105
0.625 4.736 3.482
-0.299 6.931 5.061
2.372 6.301 2.107
4.769 0.453 3.666
2.360 6.489 4.954
-1.931 5.521 3.599
-1.834 2.216 9.039
2.227 0.464 3.450
0.818 4.759 5.963
4.480 0.060 1.111
3.107 4.420 3.667
4.094 0.524 6.110
4.039 7.623 3.431
-3.413 1.493 8.913
-1.085 6.141 0.654
-1.522 2.747 7.427
0.155 3.172 2.829
1.923 1.893 0.060
-1.402 6.776 6.486
2.524 1.794 6.556
3.117 5.559 0.673
2.779 3.139 6.654
5.661 1.957 3.631
3.268 6.855 6.502


Record 7
PBE K2Re3Se4O7, relaxed; space-group type = No. 2; total moment = 2.00 μB/cell
1.0
9.301 0.000 0.000
4.237 8.876 0.000
4.097 -1.285 9.296
K Re Se O
4 6 8 14
Cartesian
2.734 2.859 1.069
6.246 6.117 1.048
11.388 1.474 8.248
14.901 4.732 8.227
5.090 1.108 5.674
8.937 6.618 4.329
11.426 7.090 7.507
6.209 0.501 1.789
8.698 0.973 4.967
12.544 6.483 3.622
8.906 7.690 6.577
4.162 0.052 3.589
7.205 0.857 6.954
6.681 2.070 3.995
10.954 5.521 5.301
10.430 6.734 2.342
13.472 7.540 5.707
8.729 -0.099 2.719
4.247 5.298 2.879
8.040 3.796 8.981
6.466 -1.208 9.004
7.621 5.561 4.098
8.684 3.770 7.741
5.144 1.831 1.375
10.022 3.912 7.829
7.613 3.679 1.467
12.491 5.761 7.921
8.951 3.821 1.555
10.014 2.030 5.198
11.168 8.799 0.292
9.595 3.795 0.315
13.388 2.293 6.417


Record 8
PBE K2Rh2O5, relaxed; space-group type = No. 123
1.0
3.891 0.000 0.000
0.000 3.891 0.000
0.000 0.000 8.720
K Rh O
2 2 5
Cartesian
0.000 0.000 0.000
0.000 0.000 4.360
1.945 1.945 2.002
1.945 1.945 6.718
0.000 1.945 2.368
0.000 1.945 6.352
1.945 0.000 2.368
1.945 0.000 6.352
1.945 1.945 0.000


Number 1: E_form -3.3 eV/f.u.. Number 2: E_form -4.6 eV/f.u.. Number 3: E_form -10.4 eV/f.u.. Number 4: E_form -11.8 eV/f.u.. Number 5: E_form -12.4 eV/f.u.. Number 6: E_form -25.5 eV/f.u.. Number 7: E_form -12.0 eV/f.u.. Number 8: E_form -11.1 eV/f.u..